No. 1
Material: Er2ReC2
Method: DFT, r²SCAN
State: relaxed

Cell: 5.039 6.514 9.758 Å, 90.00 90.00 90.00°
Fractional coordinates of all 20 atoms:
Er: 0.750 0.535 0.784
Er: 0.250 0.965 0.284
Er: 0.750 0.677 0.442
Er: 0.250 0.823 0.942
Er: 0.750 0.177 0.058
Er: 0.250 0.323 0.558
Er: 0.250 0.465 0.216
Er: 0.750 0.035 0.716
Re: 0.250 0.282 0.868
Re: 0.250 0.782 0.632
Re: 0.750 0.218 0.368
Re: 0.750 0.718 0.132
C: 0.250 0.675 0.449
C: 0.250 0.550 0.759
C: 0.750 0.450 0.241
C: 0.750 0.825 0.949
C: 0.250 0.050 0.741
C: 0.250 0.175 0.051
C: 0.750 0.325 0.551
C: 0.750 0.950 0.259

Values from the calculation:
The space group is Pnma, No. 62.

No. 2
Material: ErRh3C
Method: DFT, r²SCAN
State: relaxed

Cell: 4.134 4.134 4.134 Å, 90.00 90.00 90.00°
Fractional coordinates of all 5 atoms:
Er: 0.000 0.000 0.000
Rh: 0.000 0.500 0.500
Rh: 0.500 0.500 0.000
Rh: 0.500 0.000 0.500
C: 0.500 0.500 0.500

Values from the calculation:
The space group is Pm-3m, No. 221.

No. 3
Material: Er10Ru10C19
Method: DFT, r²SCAN
State: relaxed

Cell: 8.131 8.131 9.990 Å, 70.88 70.88 52.46°
Fractional coordinates of all 39 atoms:
Er: 0.000 0.000 0.011
Er: 0.478 0.478 0.011
Er: 0.323 0.323 0.387
Er: 0.511 0.511 0.636
Er: 0.016 0.016 0.619
Er: 0.822 0.822 0.400
Er: 0.626 0.626 0.261
Er: 0.751 0.751 0.761
Er: 0.143 0.143 0.235
Er: 0.255 0.255 0.786
Ru: 0.461 0.894 0.010
Ru: 0.220 0.726 0.416
Ru: 0.726 0.220 0.416
Ru: 0.418 0.935 0.604
Ru: 0.022 0.598 0.157
Ru: 0.598 0.022 0.157
Ru: 0.671 0.096 0.864
Ru: 0.096 0.671 0.864
Ru: 0.935 0.418 0.604
Ru: 0.894 0.461 0.010
C: 0.788 0.788 0.011
C: 0.393 0.188 0.011
C: 0.188 0.393 0.011
C: 0.355 0.861 0.444
C: 0.861 0.355 0.444
C: 0.085 0.564 0.577
C: 0.564 0.085 0.577
C: 0.459 0.955 0.369
C: 0.955 0.459 0.369
C: 0.636 0.135 0.652
C: 0.182 0.688 0.217
C: 0.286 0.791 0.804
C: 0.791 0.286 0.804
C: 0.285 0.786 0.175
C: 0.688 0.182 0.217
C: 0.786 0.285 0.175
C: 0.368 0.868 0.846
C: 0.868 0.368 0.846
C: 0.135 0.636 0.652

Values from the calculation:
The space group is Cm, No. 8.

No. 4
Material: EuC2
Method: DFT, r²SCAN
State: relaxed

Cell: 4.029 4.029 7.313 Å, 76.91 76.91 64.45°
Fractional coordinates of all 6 atoms:
Eu: 0.180 0.820 0.750
Eu: 0.820 0.180 0.250
C: 0.851 0.572 0.555
C: 0.428 0.149 0.945
C: 0.149 0.428 0.445
C: 0.572 0.851 0.055

Values from the calculation:
The space group is C2/c, No. 15.

No. 5
Material: EuC2
Method: DFT, r²SCAN
State: relaxed

Cell: 3.936 3.936 4.302 Å, 117.23 117.23 90.00°
Fractional coordinates of all 3 atoms:
Eu: 0.000 0.000 0.000
C: 0.596 0.596 0.193
C: 0.404 0.404 0.807

Values from the calculation:
The space group is I4/mmm, No. 139.

No. 6
Material: Gd2CF2
Method: DFT, r²SCAN
State: relaxed

Cell: 3.720 3.720 6.440 Å, 90.00 90.00 120.00°
Fractional coordinates of all 5 atoms:
Gd: 0.333 0.667 0.215
Gd: 0.667 0.333 0.785
C: 0.000 0.000 0.000
F: 0.333 0.667 0.613
F: 0.667 0.333 0.387

Values from the calculation:
The space group is P-3m1, No. 164.

| no. | calculated formation energy (meV per atom) | magnetization (Bohr magnetons per cell) |
| --- | --- | --- |
| 1 | -594 | 0.000 |
| 2 | -597 | 0.000 |
| 3 | -375 | 0.213 |
| 4 | -180 | 13.888 |
| 5 | -182 | 6.868 |
| 6 | -2582 | 14.000 |